1.
Compound: CaLuHg2
Source: Materials Project
Functional: r2SCAN
Structure: optimized geometry

Structure (CIF):
```
data_CaLuHg2
_cell_length_a 5.1863
_cell_length_b 5.1863
_cell_length_c 5.1863
_cell_angle_alpha 60.00
_cell_angle_beta 60.00
_cell_angle_gamma 60.00
_symmetry_space_group_name_H-M 'P 1'
_symmetry_Int_Tables_number 1
loop_
_symmetry_equiv_pos_as_xyz
'x,y,z'
loop_
_atom_site_label
_atom_site_type_symbol
_atom_site_fract_x
_atom_site_fract_y
_atom_site_fract_z
Ca1 Ca 0.0000 0.0000 0.0000
Lu1 Lu 0.5000 0.5000 0.5000
Hg1 Hg 0.2500 0.2500 0.2500
Hg2 Hg 0.7500 0.7500 0.7500
```

Crystal system ... cubic
M_tot ... 0.000 μB/f.u.
Energy ... -36.527 eV per atom
E_form ... -54.3 kJ/mol of atoms


2.
Compound: CaNdHg2
Source: Materials Project
Functional: r2SCAN
Structure: optimized geometry

Structure (CIF):
```
data_CaNdHg2
_cell_length_a 5.3525
_cell_length_b 5.3525
_cell_length_c 5.3525
_cell_angle_alpha 60.00
_cell_angle_beta 60.00
_cell_angle_gamma 60.00
_symmetry_space_group_name_H-M 'P 1'
_symmetry_Int_Tables_number 1
loop_
_symmetry_equiv_pos_as_xyz
'x,y,z'
loop_
_atom_site_label
_atom_site_type_symbol
_atom_site_fract_x
_atom_site_fract_y
_atom_site_fract_z
Ca1 Ca 0.0000 0.0000 0.0000
Nd1 Nd 0.5000 0.5000 0.5000
Hg1 Hg 0.2500 0.2500 0.2500
Hg2 Hg 0.7500 0.7500 0.7500
```

Crystal system ... cubic
M_tot ... 0.000 μB/f.u.
Energy ... -34.417 eV per atom
E_form ... -59.7 kJ/mol of atoms


3.
Compound: CaHgO2
Source: Materials Project
Functional: r2SCAN
Structure: optimized geometry

Structure (CIF):
```
data_CaHgO2
_cell_length_a 6.5952
_cell_length_b 6.5952
_cell_length_c 6.5952
_cell_angle_alpha 31.58
_cell_angle_beta 31.58
_cell_angle_gamma 31.58
_symmetry_space_group_name_H-M 'P 1'
_symmetry_Int_Tables_number 1
loop_
_symmetry_equiv_pos_as_xyz
'x,y,z'
loop_
_atom_site_label
_atom_site_type_symbol
_atom_site_fract_x
_atom_site_fract_y
_atom_site_fract_z
Ca1 Ca 0.0000 0.0000 0.0000
Hg1 Hg 0.5000 0.5000 0.5000
O1 O 0.3943 0.3943 0.3943
O2 O 0.6057 0.6057 0.6057
```

Crystal system ... trigonal
M_tot ... 0.000 μB/f.u.
Energy ... -18.983 eV per atom
E_form ... -182.9 kJ/mol of atoms